[1]
VASP calculation (PBE-GGA) on La13Al12Si18N39O15 after structural relaxation.

Lattice parameters (Å, degrees): 11.7664 11.7477 11.7477 109.44 109.50 109.50
Last column: nearest neighbours and their distance in Å.
Positions (direct):
N  0.3167  0.0000  0.1599  1 Si 1.72, 2 Al 1.84
N  0.1514  0.6696  0.0000  2 Si 1.76, 1 Al 1.92
N  0.7088  0.8565  0.7118  1 Si 1.73, 2 Al 1.86
N  0.3167  0.1599  0.0000  1 Si 1.72, 2 Al 1.84
N  0.5551  0.0000  0.6995  2 Si 1.73-1.74
N  0.1678  0.0000  0.3272  1 Si 1.74, 2 Al 1.83
N  0.4818  0.3304  0.3304  2 Si 1.76, 1 Al 1.92
N  0.6764  0.0000  0.1458  2 Si 1.74, 1 Al 1.90
N  0.4548  0.1476  0.4511  2 Si 1.74-1.75
N  0.3222  0.4681  0.3190  2 Si 1.74-1.77, 1 Al 1.86
N  0.5306  0.8542  0.8542  2 Si 1.74, 1 Al 1.90
N  0.8523  0.8553  0.1435  1 Si 1.73, 2 Al 1.86
N  0.1678  0.3272  0.0000  1 Si 1.74, 2 Al 1.83
N  0.8407  0.6728  0.6728  1 Si 1.74, 2 Al 1.83
N  0.8523  0.1435  0.8553  1 Si 1.73, 2 Al 1.86
N  0.5551  0.6995  0.0000  2 Si 1.73-1.74
N  0.3073  0.3035  0.8524  2 Si 1.74-1.75
N  0.4185  0.6077  0.6077  1 Si 1.67, 1 Al 1.77
N  0.7088  0.7118  0.8565  1 Si 1.73, 2 Al 1.86
N  0.6764  0.1458  0.0000  2 Si 1.74, 1 Al 1.90
N  0.1569  0.8401  0.8401  1 Si 1.72, 2 Al 1.84
N  0.3222  0.3190  0.4681  2 Si 1.74-1.77, 1 Al 1.86
N  0.8108  0.3923  0.0000  1 Si 1.67, 1 Al 1.77
N  0.9969  0.1447  0.2882  1 Si 1.73, 2 Al 1.86
N  0.7008  0.5586  0.0000  2 Si 1.71-1.75
N  0.3073  0.8524  0.3035  2 Si 1.74-1.75
N  0.7008  0.0000  0.5586  2 Si 1.71-1.75
N  0.0038  0.5489  0.6965  2 Si 1.74-1.75
N  0.8540  0.8508  0.5319  2 Si 1.74-1.77, 1 Al 1.86
N  0.8555  0.3005  0.3005  2 Si 1.73-1.74
N  0.1422  0.4414  0.4414  2 Si 1.71-1.75
N  0.9969  0.2882  0.1447  1 Si 1.73, 2 Al 1.86
N  0.8540  0.5319  0.8508  2 Si 1.74-1.77, 1 Al 1.86
N  0.8108  0.0000  0.3923  1 Si 1.67, 1 Al 1.77
N  0.0032  0.1492  0.6810  2 Si 1.74-1.77, 1 Al 1.86
N  0.4548  0.4511  0.1476  2 Si 1.74-1.75
N  0.1514  0.0000  0.6696  2 Si 1.76, 1 Al 1.92
N  0.0032  0.6810  0.1492  2 Si 1.74-1.77, 1 Al 1.86
N  0.0038  0.6965  0.5489  2 Si 1.74-1.75
Si  0.3052  0.3019  0.0000  4 N 1.72-1.75
Si  0.7045  0.7052  0.0000  4 N 1.71-1.74
Si  0.9993  0.2948  0.2948  4 N 1.71-1.74
Si  0.5399  0.8410  0.0000  1 O 1.66, 3 N 1.73-1.74
Si  0.8433  0.0000  0.5422  4 N 1.67-1.77
Si  0.5399  0.0000  0.8410  1 O 1.66, 3 N 1.73-1.74
Si  0.1607  0.1609  0.6993  1 O 1.68, 3 N 1.74-1.76
Si  0.3011  0.4578  0.4578  4 N 1.67-1.77
Si  0.6989  0.1590  0.1590  1 O 1.66, 3 N 1.73-1.74
Si  0.7045  0.0000  0.7052  4 N 1.71-1.74
Si  0.4614  0.4616  0.3007  1 O 1.68, 3 N 1.74-1.76
Si  0.4614  0.3007  0.4616  1 O 1.68, 3 N 1.74-1.76
Si  0.9997  0.8391  0.5384  1 O 1.68, 3 N 1.74-1.76
Si  0.3052  0.0000  0.3019  4 N 1.72-1.75
Si  0.8433  0.5422  0.0000  4 N 1.67-1.77
Si  0.0033  0.6981  0.6981  4 N 1.72-1.75
Si  0.9997  0.5384  0.8391  1 O 1.68, 3 N 1.74-1.76
Si  0.1607  0.6993  0.1609  1 O 1.68, 3 N 1.74-1.76
La  0.3249  0.0000  0.5736  3 O 2.46-2.65, 2 N 2.62-2.64
La  0.9898  0.3137  0.5740  3 O 2.40-2.62, 2 N 2.57-2.65
La  0.6761  0.2602  0.6862  3 O 2.40-2.62, 2 N 2.57-2.65
La  0.4158  0.7398  0.4260  3 O 2.40-2.62, 2 N 2.57-2.65
La  0.7513  0.4264  0.4264  3 O 2.46-2.65, 2 N 2.62-2.64
La  0.6761  0.6862  0.2602  3 O 2.40-2.62, 2 N 2.57-2.65
La  0.5860  0.3312  0.0000  3 N 2.50-2.72, 2 O 2.52
La  0.5860  0.0000  0.3312  3 N 2.50-2.72, 2 O 2.52
La  0.2548  0.6688  0.6688  3 N 2.50-2.72, 2 O 2.52
La  0.8919  0.0000  0.0000  6 N 2.80
La  0.3249  0.5736  0.0000  3 O 2.46-2.65, 2 N 2.62-2.64
La  0.4158  0.4260  0.7398  3 O 2.40-2.62, 2 N 2.57-2.65
La  0.9898  0.5740  0.3137  3 O 2.40-2.62, 2 N 2.57-2.65
O  0.7524  0.2560  0.5032  4 La 2.40-2.59
O  0.1777  0.1916  0.5743  1 Si 1.68, 1 Al 1.83
O  0.4964  0.7440  0.2472  4 La 2.40-2.59
O  0.6034  0.4257  0.6173  1 Si 1.68, 1 Al 1.83
O  0.9862  0.8084  0.3827  1 Si 1.68, 1 Al 1.83
O  0.7524  0.5032  0.2560  4 La 2.40-2.59
O  0.3921  0.8129  0.0000  1 Si 1.66, 1 Al 1.82
O  0.5791  0.1871  0.1871  1 Si 1.66, 1 Al 1.82
O  0.2492  0.4968  0.7528  4 La 2.40-2.59
O  0.4964  0.2472  0.7440  4 La 2.40-2.59
O  0.2492  0.7528  0.4968  4 La 2.40-2.59
O  0.1777  0.5743  0.1916  1 Si 1.68, 1 Al 1.83
O  0.9862  0.3827  0.8084  1 Si 1.68, 1 Al 1.83
O  0.3921  0.0000  0.8129  1 Si 1.66, 1 Al 1.82
O  0.6034  0.6173  0.4257  1 Si 1.68, 1 Al 1.83
Al  0.2471  0.0000  0.8373  1 O 1.82, 3 N 1.84-1.92
Al  0.7558  0.5958  0.7541  1 O 1.83, 3 N 1.83-1.86
Al  0.5852  0.7472  0.7472  4 N 1.77-1.90
Al  0.4098  0.1627  0.1627  1 O 1.82, 3 N 1.84-1.92
Al  0.7558  0.7541  0.5958  1 O 1.83, 3 N 1.83-1.86
Al  0.8380  0.0000  0.2528  4 N 1.77-1.90
Al  0.1600  0.4042  0.1583  1 O 1.83, 3 N 1.83-1.86
Al  0.0016  0.2459  0.8417  1 O 1.83, 3 N 1.83-1.86
Al  0.8380  0.2528  0.0000  4 N 1.77-1.90
Al  0.0016  0.8417  0.2459  1 O 1.83, 3 N 1.83-1.86
Al  0.1600  0.1583  0.4042  1 O 1.83, 3 N 1.83-1.86
Al  0.2471  0.8373  0.0000  1 O 1.82, 3 N 1.84-1.92

Properties
Energy of formation from the pure elements ... -1911 meV per atom
Space-group type ... R3m, No. 160
MP2020-corrected energy ... -0.5997 Ry/atom
Energy above the lowest structure with this stoichiometry ... 0.0 meV per atom
Crystal system ... trigonal



[2]
VASP calculation (PBE-GGA) on Tl2Ge2S5 after structural relaxation.

Lattice parameters (Å, degrees): 10.9392 10.9392 9.0437 80.49 80.49 90.12
Last column: nearest neighbours and their distance in Å.
Positions (direct):
Tl  0.9372  0.7943  0.6003  4 S 3.11-3.44
Tl  0.0628  0.2057  0.3997  4 S 3.11-3.44
Tl  0.7945  0.5480  0.1225  3 S 3.09-3.35
Tl  0.5480  0.7945  0.6225  3 S 3.09-3.35
Tl  0.2055  0.4520  0.8775  3 S 3.09-3.35
Tl  0.2057  0.0628  0.8997  4 S 3.11-3.44
Tl  0.7943  0.9372  0.1003  4 S 3.11-3.44
Tl  0.4520  0.2055  0.3775  3 S 3.09-3.35
S  0.2452  0.3502  0.5435  1 Ge 2.17
S  0.6498  0.7548  0.9565  1 Ge 2.17
S  0.7564  0.3201  0.4529  2 Ge 2.27
S  0.8863  0.1137  0.7500  2 Ge 2.28
S  0.5453  0.4547  0.7500  2 Ge 2.26
S  0.2456  0.0093  0.5307  1 Ge 2.16
S  0.4547  0.5453  0.2500  2 Ge 2.26
S  0.1137  0.8863  0.2500  2 Ge 2.28
S  0.5416  0.1125  0.7556  2 Ge 2.25-2.27
S  0.3502  0.2452  0.0435  1 Ge 2.17
S  0.7544  0.9907  0.4693  1 Ge 2.16
S  0.1125  0.5416  0.2556  2 Ge 2.25-2.27
S  0.8875  0.4584  0.7444  2 Ge 2.25-2.27
S  0.9907  0.7544  0.9693  1 Ge 2.16
S  0.0093  0.2456  0.0307  1 Ge 2.16
S  0.2436  0.6799  0.5471  2 Ge 2.27
S  0.6799  0.2436  0.0471  2 Ge 2.27
S  0.4584  0.8875  0.2444  2 Ge 2.25-2.27
S  0.3201  0.7564  0.9529  2 Ge 2.27
S  0.7548  0.6498  0.4565  1 Ge 2.17
Ge  0.1334  0.7305  0.1094  4 S 2.16-2.28
Ge  0.7305  0.1334  0.6094  4 S 2.16-2.28
Ge  0.5305  0.2661  0.8982  4 S 2.17-2.27
Ge  0.2695  0.8666  0.3906  4 S 2.16-2.28
Ge  0.7339  0.4695  0.6018  4 S 2.17-2.27
Ge  0.4695  0.7339  0.1018  4 S 2.17-2.27
Ge  0.2661  0.5305  0.3982  4 S 2.17-2.27
Ge  0.8666  0.2695  0.8906  4 S 2.16-2.28

Properties
Energy of formation from the pure elements ... -684 meV per atom
Space-group type ... C2/c, No. 15
MP2020-corrected energy ... -0.3333 Ry/atom
Crystal system ... monoclinic



> The lowest MP2020-corrected energy belongs to which entry?

La13Al12Si18N39O15



> Which of these has the lowest energy of formation from the pure elements?

La13Al12Si18N39O15



> Which of these has the highest MP2020-corrected energy?

Tl2Ge2S5



> Which value of MP2020-corrected energy does entry 2 give?

-0.3333 Ry/atom